# 1
Here is a geometry-optimized Sb6S2O15 structure from Materials Project. Energies are from PBE.

Values from the calculation:
- ρ: 4843 kg/m³
- Total energy: -0.4431 Ry/atom
- Symmetry: Ccc2

a = 11.4181 Å, b = 11.4181 Å, c = 5.9638 Å
α = 90.00°, β = 90.00°, γ = 114.15°
Fractional positions:
Sb (0.1193, 0.7029, 0.8752)
Sb (0.8807, 0.2971, 0.8752)
Sb (0.2971, 0.8807, 0.3752)
Sb (0.7029, 0.1193, 0.3752)
Sb (0.3754, 0.2431, 0.3966)
Sb (0.6246, 0.7569, 0.3966)
Sb (0.7569, 0.6246, 0.8966)
Sb (0.2431, 0.3754, 0.8966)
Sb (0.9574, 0.8267, 0.5098)
Sb (0.0426, 0.1733, 0.5098)
Sb (0.1733, 0.0426, 0.0098)
Sb (0.8267, 0.9574, 0.0098)
S (0.7848, 0.4755, 0.3373)
S (0.2152, 0.5245, 0.3373)
S (0.5245, 0.2152, 0.8373)
S (0.4755, 0.7848, 0.8373)
O (0.6603, 0.4847, 0.3292)
O (0.3397, 0.5153, 0.3292)
O (0.5153, 0.3397, 0.8292)
O (0.4847, 0.6603, 0.8292)
O (0.7729, 0.3421, 0.2823)
O (0.2271, 0.6579, 0.2823)
O (0.6579, 0.2271, 0.7823)
O (0.3421, 0.7729, 0.7823)
O (0.8698, 0.5617, 0.1502)
O (0.1302, 0.4383, 0.1502)
O (0.4383, 0.1302, 0.6502)
O (0.5617, 0.8698, 0.6502)
O (0.0000, 0.0000, 0.1586)
O (0.0000, 0.0000, 0.6586)
O (0.7589, 0.7611, 0.1204)
O (0.2411, 0.2389, 0.1204)
O (0.2389, 0.2411, 0.6204)
O (0.7611, 0.7589, 0.6204)
O (0.0508, 0.2572, 0.8288)
O (0.9492, 0.7428, 0.8288)
O (0.7428, 0.9492, 0.3288)
O (0.2572, 0.0508, 0.3288)
O (0.8279, 0.1561, 0.1075)
O (0.1721, 0.8439, 0.1075)
O (0.8439, 0.1721, 0.6075)
O (0.1561, 0.8279, 0.6075)
O (0.8524, 0.5185, 0.5533)
O (0.1476, 0.4815, 0.5533)
O (0.4815, 0.1476, 0.0533)
O (0.5185, 0.8524, 0.0533)

# 2
Here is a geometry-optimized Y4Ni structure from Materials Project. Energies are from PBE.

Values from the calculation:
- ρ: 4480 kg/m³
- Total energy: -0.4470 Ry/atom
- Symmetry: Fd-3m

a = 7.5733 Å, b = 7.5733 Å, c = 7.5733 Å
α = 60.00°, β = 60.00°, γ = 60.00°
Fractional positions:
Y (0.3868, 0.3868, 0.3868)
Y (0.3868, 0.3868, 0.8396)
Y (0.3868, 0.8396, 0.3868)
Y (0.8632, 0.8632, 0.4104)
Y (0.8632, 0.8632, 0.8632)
Y (0.8396, 0.3868, 0.3868)
Y (0.8632, 0.4104, 0.8632)
Y (0.4104, 0.8632, 0.8632)
Ni (0.0000, 0.0000, 0.0000)
Ni (0.2500, 0.2500, 0.2500)

# 3
Here is a geometry-optimized KNaLi2S2O8 structure from Materials Project. Energies are from PBE.

Values from the calculation:
- ρ: 2338 kg/m³
- Total energy: -0.4234 Ry/atom
- Symmetry: P2_12_12_1

a = 4.9986 Å, b = 7.8812 Å, c = 19.3323 Å
α = 90.00°, β = 90.00°, γ = 90.00°
Fractional positions:
K (0.4976, 0.9434, 0.5727)
K (0.9976, 0.5566, 0.4273)
K (0.5024, 0.4434, 0.9273)
K (0.0024, 0.0566, 0.0727)
Na (0.0152, 0.2493, 0.2762)
Na (0.9848, 0.7493, 0.2238)
Na (0.4848, 0.7507, 0.7762)
Na (0.5152, 0.2507, 0.7238)
Li (0.0048, 0.7437, 0.9112)
Li (0.5048, 0.7563, 0.0888)
Li (0.9952, 0.2437, 0.5888)
Li (0.4952, 0.2563, 0.4112)
Li (0.0357, 0.0993, 0.8594)
Li (0.5357, 0.4007, 0.1406)
Li (0.9643, 0.5993, 0.6406)
Li (0.4643, 0.9007, 0.3594)
S (0.9672, 0.4679, 0.7932)
S (0.5328, 0.5321, 0.2932)
S (0.4672, 0.0321, 0.2068)
S (0.0328, 0.9679, 0.7068)
S (0.0079, 0.5482, 0.0593)
S (0.5079, 0.9518, 0.9407)
S (0.9921, 0.0482, 0.4407)
S (0.4921, 0.4518, 0.5593)
O (0.1996, 0.4616, 0.5770)
O (0.6996, 0.0384, 0.4230)
O (0.8004, 0.9616, 0.9230)
O (0.3004, 0.5384, 0.0770)
O (0.5184, 0.4337, 0.4829)
O (0.0184, 0.0663, 0.5171)
O (0.4816, 0.9337, 0.0171)
O (0.9816, 0.5663, 0.9829)
O (0.6309, 0.6091, 0.5819)
O (0.1309, 0.8909, 0.4181)
O (0.3691, 0.1091, 0.9181)
O (0.8691, 0.3909, 0.0819)
O (0.6103, 0.3010, 0.5947)
O (0.1103, 0.1990, 0.4053)
O (0.3897, 0.8010, 0.9053)
O (0.8897, 0.6990, 0.0947)
O (0.6317, 0.3808, 0.3323)
O (0.1317, 0.1192, 0.6677)
O (0.3683, 0.8808, 0.1677)
O (0.8683, 0.6192, 0.8323)
O (0.8714, 0.3107, 0.8288)
O (0.3714, 0.1893, 0.1713)
O (0.1286, 0.8107, 0.6712)
O (0.6286, 0.6893, 0.3288)
O (0.2651, 0.4701, 0.7902)
O (0.7651, 0.0299, 0.2098)
O (0.7349, 0.9701, 0.7098)
O (0.2349, 0.5299, 0.2902)
O (0.8498, 0.4728, 0.7224)
O (0.3498, 0.0272, 0.2776)
O (0.1502, 0.9728, 0.7776)
O (0.6502, 0.5272, 0.2224)

# 4
Here is a geometry-optimized Sr3Sc3N5 structure from Materials Project. Energies are from PBE.

Values from the calculation:
- ρ: 3937 kg/m³
- Total energy: -0.5269 Ry/atom
- Symmetry: P-1

a = 6.2297 Å, b = 7.8145 Å, c = 9.1549 Å
α = 108.25°, β = 105.62°, γ = 98.36°
Fractional positions:
Sr (0.7783, 0.4332, 0.5979)
Sr (0.2217, 0.5668, 0.4021)
Sr (0.6757, 0.8539, 0.8912)
Sr (0.3243, 0.1461, 0.1088)
Sr (0.6771, 0.6245, 0.2025)
Sr (0.3229, 0.3755, 0.7975)
Sc (0.8955, 0.3076, 0.9654)
Sc (0.1045, 0.6924, 0.0346)
Sc (0.7177, 0.9606, 0.5740)
Sc (0.2823, 0.0394, 0.4260)
Sc (0.1385, 0.8680, 0.7089)
Sc (0.8615, 0.1320, 0.2911)
N (0.9913, 0.0908, 0.8033)
N (0.0087, 0.9092, 0.1967)
N (0.8258, 0.7105, 0.5140)
N (0.1742, 0.2895, 0.4860)
N (0.7693, 0.5136, 0.8885)
N (0.2307, 0.4864, 0.1115)
N (0.3974, 0.9206, 0.6074)
N (0.6026, 0.0794, 0.3926)
N (0.2677, 0.7563, 0.8820)
N (0.7323, 0.2437, 0.1180)

# 5
Here is a geometry-optimized HfGaRh structure from Materials Project. Energies are from PBE.

Values from the calculation:
- ρ: 11543 kg/m³
- Total energy: -0.5589 Ry/atom
- Symmetry: P-62m

a = 7.2667 Å, b = 7.2667 Å, c = 3.3138 Å
α = 90.00°, β = 90.00°, γ = 120.00°
Fractional positions:
Hf (0.3957, 0.0000, 0.5000)
Hf (0.0000, 0.3957, 0.5000)
Hf (0.6043, 0.6043, 0.5000)
Ga (0.7294, 0.0000, 0.0000)
Ga (0.0000, 0.7294, 0.0000)
Ga (0.2706, 0.2706, 0.0000)
Rh (0.3333, 0.6667, 0.0000)
Rh (0.6667, 0.3333, 0.0000)
Rh (0.0000, 0.0000, 0.5000)

# 6
Here is a geometry-optimized EuY2O4 structure from Materials Project. Energies are from PBE.

Values from the calculation:
- ρ: 5527 kg/m³
- Symmetry: Fd-3m
- Energy above the lowest structure with this stoichiometry: 0 meV/atom

a = 6.9425 Å, b = 6.9425 Å, c = 6.9425 Å
α = 60.00°, β = 60.00°, γ = 60.00°
Fractional positions:
Eu (0.7500, 0.7500, 0.7500)
Eu (0.5000, 0.5000, 0.5000)
Y (0.1250, 0.1250, 0.6250)
Y (0.1250, 0.6250, 0.1250)
Y (0.6250, 0.1250, 0.1250)
Y (0.1250, 0.1250, 0.1250)
O (0.8904, 0.8904, 0.8904)
O (0.8904, 0.3289, 0.8904)
O (0.3289, 0.8904, 0.8904)
O (0.3596, 0.3596, 0.9211)
O (0.8904, 0.8904, 0.3289)
O (0.9211, 0.3596, 0.3596)
O (0.3596, 0.9211, 0.3596)
O (0.3596, 0.3596, 0.3596)

# 7
Here is a geometry-optimized Ca2TlIn structure from Materials Project. Energies are from PBE.

Values from the calculation:
- ρ: 5717 kg/m³
- Total energy: -0.2017 Ry/atom
- Symmetry: P4/mmm

a = 3.8969 Å, b = 3.8969 Å, c = 7.6389 Å
α = 90.00°, β = 90.00°, γ = 90.00°
Fractional positions:
Ca (0.0000, 0.0000, 0.7511)
Ca (0.0000, 0.0000, 0.2489)
Tl (0.5000, 0.5000, 0.5000)
In (0.5000, 0.5000, 0.0000)

# 8
Here is a geometry-optimized Rb2ZrTe3 structure from Materials Project. Energies are from PBE.

Values from the calculation:
- ρ: 4429 kg/m³
- Total energy: -0.3192 Ry/atom
- Symmetry: P2_1/c

a = 14.5773 Å, b = 6.9972 Å, c = 9.9717 Å
α = 72.00°, β = 90.00°, γ = 90.00°
Fractional positions:
Rb (0.9546, 0.6780, 0.6482)
Rb (0.4546, 0.8220, 0.3518)
Rb (0.0454, 0.3220, 0.3518)
Rb (0.5454, 0.1780, 0.6482)
Rb (0.8646, 0.0797, 0.9055)
Rb (0.3646, 0.4203, 0.0945)
Rb (0.1354, 0.9203, 0.0945)
Rb (0.6354, 0.5797, 0.9055)
Zr (0.7483, 0.6706, 0.2966)
Zr (0.2483, 0.8294, 0.7034)
Zr (0.2517, 0.3294, 0.7034)
Zr (0.7517, 0.1706, 0.2966)
Te (0.9120, 0.9104, 0.2734)
Te (0.4120, 0.5896, 0.7266)
Te (0.0880, 0.0896, 0.7266)
Te (0.5880, 0.4104, 0.2734)
Te (0.8117, 0.3010, 0.5266)
Te (0.3117, 0.1990, 0.4734)
Te (0.1883, 0.6990, 0.4734)
Te (0.6883, 0.8010, 0.5266)
Te (0.8491, 0.4932, 0.0950)
Te (0.3491, 0.0068, 0.9050)
Te (0.1509, 0.5068, 0.9050)
Te (0.6509, 0.9932, 0.0950)